(1)
Below is a relaxed Na3TmSi3O9 crystal, with properties calculated at the PBE level.

Structure (POSCAR):
```
Na3TmSi3O9
1.0
14.4469 -3.4752 2.8598
4.5036 10.1645 -10.3992
0.4700 10.8430 10.8018
Na Tm Si O
48 16 48 144
direct
0.8901 0.1311 0.1526
0.3901 0.8689 0.3474
0.1099 0.3689 0.6526
0.6099 0.6311 0.8474
0.1274 0.3315 0.1173
0.6274 0.6685 0.3827
0.8726 0.1685 0.6173
0.3726 0.8315 0.8827
0.1381 0.4080 0.3927
0.6381 0.5920 0.1073
0.8619 0.0920 0.8927
0.3619 0.9080 0.6073
0.4968 0.0531 0.4475
0.9968 0.9469 0.0525
0.5032 0.4469 0.9475
0.0032 0.5531 0.5525
0.3979 0.3771 0.1619
0.8979 0.6229 0.3381
0.6021 0.1229 0.6619
0.1021 0.8771 0.8381
0.3479 0.0985 0.1205
0.8479 0.9015 0.3795
0.6521 0.4015 0.6205
0.1521 0.5985 0.8795
0.8529 0.3807 0.1496
0.3529 0.6193 0.3504
0.1471 0.1193 0.6496
0.6471 0.8807 0.8504
0.9957 0.4927 0.0041
0.4957 0.5073 0.4959
0.0043 0.0073 0.5041
0.5043 0.9927 0.9959
0.6293 0.1560 0.0980
0.1293 0.8440 0.4020
0.3707 0.3440 0.5980
0.8707 0.6560 0.9020
0.7015 0.2521 0.2948
0.2015 0.7479 0.2052
0.2985 0.2479 0.7948
0.7985 0.7521 0.7052
0.8796 0.3710 0.4111
0.3796 0.6290 0.0889
0.1204 0.1290 0.9111
0.6204 0.8710 0.5889
0.2493 0.2085 0.2898
0.7493 0.7915 0.2102
0.7507 0.2915 0.7898
0.2507 0.7085 0.7102
0.8667 0.1250 0.3780
0.3667 0.8750 0.1220
0.1333 0.3750 0.8780
0.6333 0.6250 0.6220
0.6137 0.3702 0.1287
0.1137 0.6298 0.3713
0.3863 0.1298 0.6287
0.8863 0.8702 0.8713
0.3591 0.3871 0.3793
0.8591 0.6129 0.1207
0.6409 0.1129 0.8793
0.1409 0.8871 0.6207
0.1205 0.1153 0.1340
0.6205 0.8847 0.3660
0.8795 0.3847 0.6340
0.3795 0.6153 0.8660
0.2558 0.0323 0.4672
0.7558 0.9677 0.0328
0.7442 0.4677 0.9672
0.2442 0.5323 0.5328
0.5233 0.2536 0.4775
0.0233 0.7464 0.0225
0.4767 0.2464 0.9775
0.9767 0.7536 0.5225
0.5115 0.0275 0.2291
0.0115 0.9725 0.2709
0.4885 0.4725 0.7291
0.9885 0.5275 0.7709
0.2770 0.4684 0.0220
0.7770 0.5316 0.4780
0.7230 0.0316 0.5220
0.2230 0.9684 0.9780
0.2252 0.2263 0.4942
0.7252 0.7737 0.0058
0.7748 0.2737 0.9942
0.2748 0.7263 0.5058
0.7211 0.0252 0.2247
0.2211 0.9748 0.2753
0.2789 0.4748 0.7247
0.7789 0.5252 0.7753
0.7223 0.4970 0.2838
0.2223 0.5030 0.2162
0.2777 0.0030 0.7838
0.7777 0.9970 0.7162
0.4915 0.2249 0.2793
0.9915 0.7751 0.2207
0.5085 0.2751 0.7793
0.0085 0.7249 0.7207
0.0217 0.2495 0.4889
0.5217 0.7505 0.0111
0.9783 0.2505 0.9889
0.4783 0.7495 0.5111
0.0219 0.4724 0.2301
0.5219 0.5276 0.2699
0.9781 0.0276 0.7301
0.4781 0.9724 0.7699
0.2767 0.2594 0.0127
0.7767 0.7406 0.4873
0.7233 0.2406 0.5127
0.2233 0.7594 0.9873
0.0153 0.2667 0.2827
0.5153 0.7333 0.2173
0.9847 0.2333 0.7827
0.4847 0.7667 0.7173
0.9586 0.0148 0.3523
0.4586 0.9852 0.1477
0.0414 0.4852 0.8523
0.5414 0.5148 0.6477
0.2265 0.2072 0.0904
0.7265 0.7928 0.4096
0.7735 0.2928 0.5904
0.2735 0.7072 0.9096
0.7796 0.2378 0.4227
0.2796 0.7622 0.0773
0.2204 0.2622 0.9227
0.7204 0.7378 0.5773
0.4587 0.3387 0.4761
0.9587 0.6613 0.0239
0.5413 0.1613 0.9761
0.0413 0.8387 0.5239
0.0397 0.2880 0.3876
0.5397 0.7120 0.1124
0.9603 0.2120 0.8876
0.4603 0.7880 0.6124
0.2660 0.4254 0.2742
0.7660 0.5746 0.2258
0.7340 0.0746 0.7742
0.2340 0.9254 0.7258
0.4638 0.1255 0.2433
0.9638 0.8745 0.2567
0.5362 0.3745 0.7433
0.0362 0.6255 0.7567
0.4018 0.2836 0.2839
0.9018 0.7164 0.2161
0.5982 0.2164 0.7839
0.0982 0.7836 0.7161
0.0215 0.1704 0.0437
0.5215 0.8296 0.4563
0.9785 0.3296 0.5437
0.4785 0.6704 0.9563
0.7780 0.4855 0.3775
0.2780 0.5145 0.1225
0.2220 0.0145 0.8775
0.7220 0.9855 0.6225
0.7167 0.2801 0.0827
0.2167 0.7199 0.4173
0.2833 0.2199 0.5827
0.7833 0.7801 0.9173
0.1219 0.4692 0.1843
0.6219 0.5308 0.3157
0.8781 0.0308 0.6843
0.3781 0.9692 0.8157
0.8788 0.2686 0.0322
0.3788 0.7314 0.4678
0.1212 0.2314 0.5322
0.6212 0.7686 0.9678
0.6159 0.0493 0.2010
0.1159 0.9507 0.2990
0.3841 0.4507 0.7010
0.8841 0.5493 0.7990
0.3257 0.4907 0.4779
0.8257 0.5093 0.0221
0.6743 0.0093 0.9779
0.1743 0.9907 0.5221
0.5327 0.2075 0.3790
0.0327 0.7925 0.1210
0.4673 0.2925 0.8790
0.9673 0.7075 0.6210
0.8164 0.0260 0.4724
0.3164 0.9740 0.0276
0.1836 0.4740 0.9724
0.6836 0.5260 0.5276
0.2262 0.0670 0.2231
0.7262 0.9330 0.2769
0.7738 0.4330 0.7231
0.2738 0.5670 0.7769
0.9942 0.3669 0.2426
0.4942 0.6331 0.2574
0.0058 0.1331 0.7426
0.5058 0.8669 0.7574
0.3751 0.2122 0.0030
0.8751 0.7878 0.4970
0.6249 0.2878 0.5030
0.1249 0.7122 0.9970
0.2325 0.1349 0.4352
0.7325 0.8651 0.0648
0.7675 0.3651 0.9352
0.2675 0.6349 0.5648
0.9623 0.1614 0.4874
0.4623 0.8386 0.0126
0.0377 0.3386 0.9874
0.5377 0.6614 0.5126
0.0112 0.0301 0.1817
0.5112 0.9699 0.3183
0.9888 0.4699 0.6817
0.4888 0.5301 0.8183
0.6513 0.4670 0.0214
0.1513 0.5330 0.4786
0.3487 0.0330 0.5214
0.8487 0.9670 0.9786
0.5274 0.4795 0.1756
0.0274 0.5205 0.3244
0.4726 0.0205 0.6756
0.9726 0.9795 0.8244
0.2961 0.3625 0.0473
0.7961 0.6375 0.4527
0.7039 0.1375 0.5473
0.2039 0.8625 0.9527
0.7174 0.4037 0.2327
0.2174 0.5963 0.2673
0.2826 0.0963 0.7327
0.7826 0.9037 0.7673
0.7699 0.0226 0.1261
0.2699 0.9774 0.3739
0.2301 0.4774 0.6261
0.7301 0.5226 0.8739
0.1408 0.0157 0.0270
0.6408 0.9843 0.4730
0.8592 0.4843 0.5270
0.3592 0.5157 0.9730
0.2475 0.3070 0.4298
0.7475 0.6930 0.0702
0.7525 0.1930 0.9298
0.2525 0.8070 0.5702
0.5058 0.3244 0.0441
0.0058 0.6756 0.4559
0.4942 0.1756 0.5441
0.9942 0.8244 0.9559
0.5693 0.2653 0.2183
0.0693 0.7347 0.2817
0.4307 0.2347 0.7183
0.9307 0.7653 0.7817
0.7678 0.1075 0.2729
0.2678 0.8925 0.2271
0.2322 0.3925 0.7729
0.7322 0.6075 0.7271
0.9231 0.2144 0.2789
0.4231 0.7856 0.2211
0.0769 0.2856 0.7789
0.5769 0.7144 0.7211
0.4511 0.4910 0.3388
0.9511 0.5090 0.1612
0.5489 0.0090 0.8388
0.0489 0.9910 0.6612
0.0983 0.2255 0.2308
0.5983 0.7745 0.2692
0.9017 0.2745 0.7308
0.4017 0.7255 0.7692
```

Formation enthalpy at 0 K = -3.127 eV/atom
ρ = 3.5 g/cm3



(2)
Below is a relaxed Na7U5Si4O24 crystal, with properties calculated at the PBE level.

Structure (POSCAR):
```
Na7U5Si4O24
1.0
6.8019 -0.0087 -0.9983
-0.1946 6.9757 -0.6775
-0.0005 -0.0114 12.0257
Na U Si O
7 5 4 24
direct
0.5000 0.0000 0.0000
0.2502 0.5103 0.9906
0.7498 0.4897 0.0094
0.2355 0.9868 0.4466
0.7645 0.0132 0.5534
0.2408 0.4899 0.4421
0.7592 0.5101 0.5579
0.0000 0.0000 0.0000
0.8287 0.2138 0.2802
0.1713 0.7862 0.7198
0.5579 0.7092 0.2726
0.4421 0.2908 0.7274
0.3507 0.1954 0.2360
0.6493 0.8046 0.7640
0.0112 0.7173 0.2303
0.9888 0.2827 0.7697
0.1661 0.2159 0.3069
0.8339 0.7841 0.6931
0.5087 0.0339 0.2791
0.4913 0.9661 0.7209
0.5011 0.3838 0.2592
0.4989 0.6162 0.7408
0.7366 0.8556 0.8993
0.2634 0.1444 0.1007
0.9849 0.2635 0.9056
0.0151 0.7365 0.0944
0.8735 0.5294 0.2465
0.1265 0.4706 0.7535
0.2321 0.7122 0.2989
0.7679 0.2878 0.7011
0.8833 0.8930 0.2838
0.1167 0.1070 0.7162
0.8072 0.1520 0.1053
0.1928 0.8480 0.8947
0.8581 0.2571 0.4416
0.1419 0.7429 0.5584
0.5109 0.6927 0.1111
0.4891 0.3073 0.8889
0.6093 0.7260 0.4335
0.3907 0.2740 0.5665
```

Formation enthalpy at 0 K = -3.200 eV/atom
ρ = 5.4 g/cm3



(3)
Below is a relaxed Na2USiO6 crystal, with properties calculated at the PBE level.

Structure (POSCAR):
```
Na2USiO6
1.0
-1.7728 -4.5537 10.3960
-10.3274 -0.0552 -5.0295
7.7251 -5.9916 -6.0314
Na U Si O
16 8 8 48
direct
0.9452 0.9452 0.3904
0.5000 0.0000 0.5000
0.8048 0.3048 0.1096
0.5548 0.5548 0.6096
0.0548 0.4452 0.0000
0.4452 0.0548 0.0000
0.5000 0.5000 0.0000
0.2500 0.2500 0.0000
0.0000 0.0000 0.0000
0.1952 0.6952 0.8904
0.3048 0.1952 0.5000
0.7500 0.7500 0.0000
0.6952 0.8048 0.5000
0.2500 0.7500 0.5000
0.7500 0.2500 0.5000
0.0000 0.5000 0.5000
0.8750 0.6250 0.2500
0.8750 0.6250 0.7500
0.3750 0.6250 0.2500
0.8750 0.1250 0.7500
0.3750 0.1250 0.7500
0.3750 0.6250 0.7500
0.3750 0.1250 0.2500
0.8750 0.1250 0.2500
0.1250 0.2844 0.6594
0.1250 0.7844 0.1594
0.6250 0.9656 0.8406
0.0344 0.8750 0.6594
0.7156 0.3750 0.8406
0.2156 0.3750 0.3406
0.5344 0.8750 0.1594
0.6250 0.4656 0.3406
0.1971 0.4514 0.7094
0.7426 0.6900 0.1857
0.2377 0.4471 0.2457
0.2420 0.9514 0.2543
0.3168 0.4964 0.5180
0.5486 0.2580 0.7457
0.0486 0.3029 0.2906
0.7420 0.4877 0.2906
0.7716 0.4512 0.0180
0.2464 0.2284 0.6796
0.5529 0.7986 0.7906
0.2457 0.6932 0.6857
0.0488 0.7284 0.9820
0.5043 0.5568 0.8143
0.9784 0.7988 0.4820
0.4400 0.7543 0.4474
0.0036 0.1832 0.4820
0.4332 0.7536 0.9820
0.4784 0.9964 0.1796
0.5080 0.2986 0.2457
0.8100 0.7574 0.8143
0.7014 0.9471 0.2094
0.7012 0.5216 0.5180
0.0080 0.7623 0.2094
0.2426 0.0568 0.0526
0.7457 0.0600 0.5526
0.2014 0.9920 0.7543
0.7377 0.4920 0.7906
0.3068 0.9926 0.5526
0.9432 0.9957 0.1857
0.0123 0.7580 0.7094
0.0043 0.1900 0.9474
0.2012 0.6832 0.1796
0.5123 0.8029 0.2543
0.4432 0.2574 0.9474
0.5074 0.1932 0.4474
0.2716 0.2536 0.3204
0.0529 0.2623 0.7543
0.8068 0.2543 0.3143
0.0074 0.5600 0.3143
0.6971 0.9877 0.7457
0.9332 0.9512 0.6796
0.5488 0.5668 0.3204
0.7464 0.0668 0.0180
0.3100 0.4957 0.0526
0.8168 0.2988 0.8204
0.9400 0.4926 0.6857
0.5036 0.0216 0.8204
```

Formation enthalpy at 0 K = -3.068 eV/atom
ρ = 4.7 g/cm3



(4)
Below is a relaxed Na3YSi6O15 crystal, with properties calculated at the PBE level.

Structure (POSCAR):
```
Na3YSi6O15
1.0
-2.8865 -3.7997 9.1010
1.7352 -9.1418 4.3606
6.9676 -1.0262 7.9494
Na Y Si O
6 2 12 30
direct
0.2605 0.7593 0.7405
0.7593 0.2605 0.7405
0.7395 0.2407 0.2595
0.2407 0.7395 0.2595
0.7895 0.7895 0.8828
0.2105 0.2105 0.1172
0.0000 0.0000 0.5000
0.5000 0.5000 0.0000
0.6707 0.0287 0.1166
0.5265 0.1725 0.6841
0.1725 0.5265 0.6841
0.0287 0.6707 0.1166
0.3293 0.9713 0.8834
0.4735 0.8275 0.3159
0.8275 0.4735 0.3159
0.9713 0.3293 0.8834
0.8474 0.8474 0.3679
0.3474 0.3474 0.4370
0.1526 0.1526 0.6321
0.6526 0.6526 0.5630
0.3626 0.3626 0.7345
0.8616 0.8616 0.0400
0.6374 0.6374 0.2655
0.1384 0.1384 0.9600
0.0141 0.4865 0.8204
0.9859 0.5135 0.1796
0.5135 0.9859 0.1796
0.4865 0.0141 0.8204
0.0751 0.0751 0.6089
0.5752 0.5752 0.7403
0.9249 0.9249 0.3911
0.4248 0.4248 0.2597
0.2972 0.9890 0.7367
0.4886 0.7972 0.4773
0.7972 0.4886 0.4773
0.9890 0.2972 0.7367
0.7028 0.0110 0.2633
0.5114 0.2028 0.5227
0.2028 0.5114 0.5227
0.0110 0.7028 0.2633
0.2772 0.8933 0.3286
0.3894 0.7778 0.0022
0.7778 0.3894 0.0022
0.8933 0.2772 0.3286
0.7228 0.1067 0.6714
0.6106 0.2222 0.9978
0.2222 0.6106 0.9978
0.1067 0.7228 0.6714
0.2499 0.2499 0.4729
0.7501 0.7501 0.5271
```

Formation enthalpy at 0 K = -3.170 eV/atom
ρ = 2.7 g/cm3
Relative energy among the computed polymorphs = 0.000 eV per atom



Look up the formation enthalpy at 0 K of the fourth one. -3.170 eV/atom



Copy entry 2 word for word.
Below is a relaxed Na7U5Si4O24 crystal, with properties calculated at the PBE level.

Structure (POSCAR):
```
Na7U5Si4O24
1.0
6.8019 -0.0087 -0.9983
-0.1946 6.9757 -0.6775
-0.0005 -0.0114 12.0257
Na U Si O
7 5 4 24
direct
0.5000 0.0000 0.0000
0.2502 0.5103 0.9906
0.7498 0.4897 0.0094
0.2355 0.9868 0.4466
0.7645 0.0132 0.5534
0.2408 0.4899 0.4421
0.7592 0.5101 0.5579
0.0000 0.0000 0.0000
0.8287 0.2138 0.2802
0.1713 0.7862 0.7198
0.5579 0.7092 0.2726
0.4421 0.2908 0.7274
0.3507 0.1954 0.2360
0.6493 0.8046 0.7640
0.0112 0.7173 0.2303
0.9888 0.2827 0.7697
0.1661 0.2159 0.3069
0.8339 0.7841 0.6931
0.5087 0.0339 0.2791
0.4913 0.9661 0.7209
0.5011 0.3838 0.2592
0.4989 0.6162 0.7408
0.7366 0.8556 0.8993
0.2634 0.1444 0.1007
0.9849 0.2635 0.9056
0.0151 0.7365 0.0944
0.8735 0.5294 0.2465
0.1265 0.4706 0.7535
0.2321 0.7122 0.2989
0.7679 0.2878 0.7011
0.8833 0.8930 0.2838
0.1167 0.1070 0.7162
0.8072 0.1520 0.1053
0.1928 0.8480 0.8947
0.8581 0.2571 0.4416
0.1419 0.7429 0.5584
0.5109 0.6927 0.1111
0.4891 0.3073 0.8889
0.6093 0.7260 0.4335
0.3907 0.2740 0.5665
```

Formation enthalpy at 0 K = -3.200 eV/atom
ρ = 5.4 g/cm3